Record 1
A geometry-optimized SrCr2N2 structure, computed with PBE.

Lattice parameters (Å, degrees): 3.3197 3.3197 6.5463 90.00 90.00 120.00
Closest atoms and distances in Å follow each position.
Positions (direct):
Sr 0.0000 0.0000 0.0000  6 N 2.79
Cr 0.3333 0.6667 0.3836  4 N 1.98-2.01
Cr 0.6667 0.3333 0.6164  4 N 1.98-2.01
N 0.3333 0.6667 0.6909  4 Cr 1.98-2.01
N 0.6667 0.3333 0.3091  4 Cr 1.98-2.01

Output
**Space-group type**: P-3m1
**VASP energy**: -7.92 eV per atom
**Formation enthalpy at 0 K**: -531 meV/atom

Record 2
A geometry-optimized Sr3CrN4 structure, computed with PBE.

Lattice parameters (Å, degrees): 9.6262 11.3624 10.2369 90.00 90.00 90.00
Closest atoms and distances in Å follow each position.
Positions (direct):
Sr 0.0289 0.1064 0.1276  5 N 2.51-2.67
Sr 0.0289 0.3936 0.6276  5 N 2.51-2.67
Sr 0.1258 0.6420 0.0276  5 N 2.55-2.72
Sr 0.1258 0.8580 0.5276  5 N 2.55-2.72
Sr 0.2002 0.1152 0.7173  3 N 2.59-2.64
Sr 0.2002 0.3848 0.2173  3 N 2.59-2.64
Sr 0.2998 0.6152 0.7173  3 N 2.59-2.64
Sr 0.2998 0.8848 0.2173  3 N 2.59-2.64
Sr 0.3742 0.1420 0.0276  5 N 2.55-2.72
Sr 0.3742 0.3580 0.5276  5 N 2.55-2.72
Sr 0.4711 0.6064 0.1276  5 N 2.51-2.67
Sr 0.4711 0.8936 0.6276  5 N 2.51-2.67
Sr 0.5289 0.1064 0.3724  5 N 2.51-2.67
Sr 0.5289 0.3936 0.8724  5 N 2.51-2.67
Sr 0.6258 0.6420 0.4724  5 N 2.55-2.72
Sr 0.6258 0.8580 0.9724  5 N 2.55-2.72
Sr 0.7002 0.1152 0.7827  3 N 2.59-2.64
Sr 0.7002 0.3848 0.2827  3 N 2.59-2.64
Sr 0.7998 0.6152 0.7827  3 N 2.59-2.64
Sr 0.7998 0.8848 0.2827  3 N 2.59-2.64
Sr 0.8742 0.1420 0.4724  5 N 2.55-2.72
Sr 0.8742 0.3580 0.9724  5 N 2.55-2.72
Sr 0.9711 0.6064 0.3724  5 N 2.51-2.67
Sr 0.9711 0.8936 0.8724  5 N 2.51-2.67
Cr 0.1965 0.1119 0.4018  4 N 1.74-1.77
Cr 0.1965 0.3881 0.9018  4 N 1.74-1.77
Cr 0.3035 0.6119 0.4018  4 N 1.74-1.77
Cr 0.3035 0.8881 0.9018  4 N 1.74-1.77
Cr 0.6965 0.1119 0.0982  4 N 1.74-1.77
Cr 0.6965 0.3881 0.5982  4 N 1.74-1.77
Cr 0.8035 0.6119 0.0982  4 N 1.74-1.77
Cr 0.8035 0.8881 0.5982  4 N 1.74-1.77
N 0.0693 0.0117 0.3458  1 Cr 1.77
N 0.0693 0.4883 0.8458  1 Cr 1.77
N 0.1207 0.2199 0.4993  1 Cr 1.74
N 0.1207 0.2801 0.9993  1 Cr 1.74
N 0.1877 0.5331 0.5026  1 Cr 1.76
N 0.1877 0.9669 0.0026  1 Cr 1.76
N 0.2132 0.6742 0.2694  1 Cr 1.76
N 0.2132 0.8258 0.7694  1 Cr 1.76
N 0.2868 0.1742 0.2694  1 Cr 1.76
N 0.2868 0.3258 0.7694  1 Cr 1.76
N 0.3123 0.0331 0.5026  1 Cr 1.76
N 0.3123 0.4669 0.0026  1 Cr 1.76
N 0.3793 0.7199 0.4993  1 Cr 1.74
N 0.3793 0.7801 0.9993  1 Cr 1.74
N 0.4307 0.5117 0.3458  1 Cr 1.77
N 0.4307 0.9883 0.8458  1 Cr 1.77
N 0.5693 0.0117 0.1542  1 Cr 1.77
N 0.5693 0.4883 0.6542  1 Cr 1.77
N 0.6207 0.2199 0.0007  1 Cr 1.74
N 0.6207 0.2801 0.5007  1 Cr 1.74
N 0.6877 0.5331 0.9974  1 Cr 1.76
N 0.6877 0.9669 0.4974  1 Cr 1.76
N 0.7132 0.6742 0.2306  1 Cr 1.76
N 0.7132 0.8258 0.7306  1 Cr 1.76
N 0.7868 0.1742 0.2306  1 Cr 1.76
N 0.7868 0.3258 0.7306  1 Cr 1.76
N 0.8123 0.0331 0.9974  1 Cr 1.76
N 0.8123 0.4669 0.4974  1 Cr 1.76
N 0.8793 0.7199 0.0007  1 Cr 1.74
N 0.8793 0.7801 0.5007  1 Cr 1.74
N 0.9307 0.5117 0.1542  1 Cr 1.77
N 0.9307 0.9883 0.6542  1 Cr 1.77

Output
**Space-group type**: Pbca
**VASP energy**: -6.92 eV per atom
**Formation enthalpy at 0 K**: -1093 meV/atom

Record 3
A geometry-optimized Sr3Cr2N4 structure, computed with PBE.

Lattice parameters (Å, degrees): 7.1252 7.1252 5.6044 93.44 93.44 75.08
Closest atoms and distances in Å follow each position.
Positions (direct):
Sr 0.1020 0.8980 0.7500  6 N 2.56-2.80
Sr 0.2473 0.5071 0.4479  5 N 2.60-2.89
Sr 0.4929 0.7527 0.0521  5 N 2.60-2.89
Sr 0.5071 0.2473 0.9479  5 N 2.60-2.89
Sr 0.7527 0.4929 0.5521  5 N 2.60-2.89
Sr 0.8980 0.1020 0.2500  6 N 2.56-2.80
Cr 0.0819 0.3342 0.9224  4 N 1.87-1.97
Cr 0.3342 0.0819 0.4224  4 N 1.87-1.97
Cr 0.6658 0.9181 0.5776  4 N 1.87-1.97
Cr 0.9181 0.6658 0.0776  4 N 1.87-1.97
N 0.1321 0.2250 0.6134  2 Cr 1.87-1.89
N 0.1855 0.5552 0.9764  2 Cr 1.91-1.97
N 0.2250 0.1321 0.1134  2 Cr 1.87-1.89
N 0.4448 0.8145 0.5236  2 Cr 1.91-1.97
N 0.5552 0.1855 0.4764  2 Cr 1.91-1.97
N 0.7750 0.8679 0.8866  2 Cr 1.87-1.89
N 0.8145 0.4448 0.0236  2 Cr 1.91-1.97
N 0.8679 0.7750 0.3866  2 Cr 1.87-1.89

Output
**Space-group type**: C2/c
**VASP energy**: -7.00 eV per atom
**Formation enthalpy at 0 K**: -746 meV/atom
**ΔE to the lowest computed polymorph**: 2.94 kcal/mol of atoms

Record 4
A geometry-optimized Sr7CrN6 structure, computed with PBE.

Lattice parameters (Å, degrees): 11.8620 6.7514 13.6738 90.00 90.00 90.00
Closest atoms and distances in Å follow each position.
Positions (direct):
Sr 0.0000 0.0642 0.2500  4 N 2.73-2.82
Sr 0.0000 0.9358 0.7500  4 N 2.73-2.82
Sr 0.0361 0.2352 0.5212  4 N 2.61-2.78
Sr 0.0361 0.7648 0.0212  4 N 2.61-2.78
Sr 0.2102 0.3853 0.1307  4 N 2.59-2.77
Sr 0.2102 0.6147 0.6307  4 N 2.59-2.77
Sr 0.2216 0.3553 0.8779  4 N 2.58-2.68
Sr 0.2216 0.6447 0.3779  4 N 2.58-2.68
Sr 0.2784 0.1447 0.3779  4 N 2.58-2.68
Sr 0.2784 0.8553 0.8779  4 N 2.58-2.68
Sr 0.2898 0.1147 0.6307  4 N 2.59-2.77
Sr 0.2898 0.8853 0.1307  4 N 2.59-2.77
Sr 0.4639 0.2648 0.0212  4 N 2.61-2.78
Sr 0.4639 0.7352 0.5212  4 N 2.61-2.78
Sr 0.5000 0.4358 0.7500  4 N 2.73-2.82
Sr 0.5000 0.5642 0.2500  4 N 2.73-2.82
Sr 0.5361 0.2648 0.4788  4 N 2.61-2.78
Sr 0.5361 0.7352 0.9788  4 N 2.61-2.78
Sr 0.7102 0.1147 0.8693  4 N 2.59-2.77
Sr 0.7102 0.8853 0.3693  4 N 2.59-2.77
Sr 0.7216 0.1447 0.1221  4 N 2.58-2.68
Sr 0.7216 0.8553 0.6221  4 N 2.58-2.68
Sr 0.7784 0.3553 0.6221  4 N 2.58-2.68
Sr 0.7784 0.6447 0.1221  4 N 2.58-2.68
Sr 0.7898 0.3853 0.3693  4 N 2.59-2.77
Sr 0.7898 0.6147 0.8693  4 N 2.59-2.77
Sr 0.9639 0.2352 0.9788  4 N 2.61-2.78
Sr 0.9639 0.7648 0.4788  4 N 2.61-2.78
Cr 0.0000 0.4308 0.7500  4 N 1.80-1.81
Cr 0.0000 0.5692 0.2500  4 N 1.80-1.81
Cr 0.5000 0.0692 0.2500  4 N 1.80-1.81
Cr 0.5000 0.9308 0.7500  4 N 1.80-1.81
N 0.0433 0.4180 0.3524  1 Cr 1.81
N 0.0433 0.5820 0.8524  1 Cr 1.81
N 0.1155 0.2774 0.7113  1 Cr 1.80
N 0.1155 0.7226 0.2113  1 Cr 1.80
N 0.1652 0.0866 0.0033  6 Sr 2.58-2.72
N 0.1652 0.9134 0.5033  6 Sr 2.58-2.72
N 0.3348 0.4134 0.5033  6 Sr 2.58-2.72
N 0.3348 0.5866 0.0033  6 Sr 2.58-2.72
N 0.3845 0.2226 0.2113  1 Cr 1.80
N 0.3845 0.7774 0.7113  1 Cr 1.80
N 0.4567 0.0820 0.8524  1 Cr 1.81
N 0.4567 0.9180 0.3524  1 Cr 1.81
N 0.5433 0.0820 0.6476  1 Cr 1.81
N 0.5433 0.9180 0.1476  1 Cr 1.81
N 0.6155 0.2226 0.2887  1 Cr 1.80
N 0.6155 0.7774 0.7887  1 Cr 1.80
N 0.6652 0.4134 0.9967  6 Sr 2.58-2.72
N 0.6652 0.5866 0.4967  6 Sr 2.58-2.72
N 0.8348 0.0866 0.4967  6 Sr 2.58-2.72
N 0.8348 0.9134 0.9967  6 Sr 2.58-2.72
N 0.8845 0.2774 0.7887  1 Cr 1.80
N 0.8845 0.7226 0.2887  1 Cr 1.80
N 0.9567 0.4180 0.1476  1 Cr 1.81
N 0.9567 0.5820 0.6476  1 Cr 1.81

Output
**Space-group type**: Pbcn
**VASP energy**: -5.75 eV per atom
**Formation enthalpy at 0 K**: -799 meV/atom

Record 5
A geometry-optimized Sr9Cr2N8 structure, computed with PBE.

Lattice parameters (Å, degrees): 10.4285 10.4285 8.5100 111.38 111.38 29.11
Closest atoms and distances in Å follow each position.
Positions (direct):
Sr 0.0000 0.0000 0.0000  2 N 2.55
Sr 0.0867 0.0867 0.4907  4 N 2.53-2.71
Sr 0.1744 0.1744 0.9482  5 N 2.66-2.92
Sr 0.3039 0.3039 0.6727  4 N 2.69-2.83
Sr 0.4600 0.4600 0.2590  4 N 2.62-2.85
Sr 0.5400 0.5400 0.7410  4 N 2.62-2.85
Sr 0.6961 0.6961 0.3273  4 N 2.69-2.83
Sr 0.8256 0.8256 0.0518  5 N 2.66-2.92
Sr 0.9133 0.9133 0.5093  4 N 2.53-2.71
Cr 0.3080 0.3080 0.3035  3 N 1.72-1.74
Cr 0.6920 0.6920 0.6965  3 N 1.72-1.74
N 0.0364 0.0364 0.7439  6 Sr 2.53-2.71
N 0.2247 0.2247 0.3185  1 Cr 1.74
N 0.3160 0.3160 0.1096  1 Cr 1.72
N 0.3857 0.3857 0.4850  1 Cr 1.74
N 0.6143 0.6143 0.5150  1 Cr 1.74
N 0.6840 0.6840 0.8904  1 Cr 1.72
N 0.7753 0.7753 0.6815  1 Cr 1.74
N 0.9636 0.9636 0.2561  6 Sr 2.53-2.71

Output
**Space-group type**: C2/m
**VASP energy**: -6.05 eV per atom
**Formation enthalpy at 0 K**: -875 meV/atom

Record 6
A geometry-optimized SrCr2N4 structure, computed with PBE.

Lattice parameters (Å, degrees): 10.5316 10.5316 10.5316 90.00 90.00 90.00
Closest atoms and distances in Å follow each position.
Positions (direct):
Sr 0.0000 0.0000 0.0000  12 N 3.01-3.22
Sr 0.0000 0.5000 0.5000  12 N 3.01-3.22
Sr 0.1258 0.6258 0.8742  6 N 2.68-2.82
Sr 0.1258 0.8742 0.3742  6 N 2.68-2.82
Sr 0.3742 0.1258 0.8742  6 N 2.68-2.82
Sr 0.3742 0.3742 0.3742  6 N 2.68-2.82
Sr 0.5000 0.0000 0.5000  12 N 3.01-3.22
Sr 0.5000 0.5000 0.0000  12 N 3.01-3.22
Sr 0.6258 0.6258 0.6258  6 N 2.68-2.82
Sr 0.6258 0.8742 0.1258  6 N 2.68-2.82
Sr 0.8742 0.1258 0.6258  6 N 2.68-2.82
Sr 0.8742 0.3742 0.1258  6 N 2.68-2.82
Cr 0.1162 0.1962 0.3533  4 N 1.77-1.82
Cr 0.1162 0.3038 0.8533  4 N 1.77-1.82
Cr 0.1467 0.6162 0.1962  4 N 1.77-1.82
Cr 0.1467 0.8838 0.6962  4 N 1.77-1.82
Cr 0.1962 0.1467 0.6162  4 N 1.77-1.82
Cr 0.1962 0.3533 0.1162  4 N 1.77-1.82
Cr 0.3038 0.6467 0.6162  4 N 1.77-1.82
Cr 0.3038 0.8533 0.1162  4 N 1.77-1.82
Cr 0.3533 0.1162 0.1962  4 N 1.77-1.82
Cr 0.3533 0.3838 0.6962  4 N 1.77-1.82
Cr 0.3838 0.6962 0.3533  4 N 1.77-1.82
Cr 0.3838 0.8038 0.8533  4 N 1.77-1.82
Cr 0.6162 0.1962 0.1467  4 N 1.77-1.82
Cr 0.6162 0.3038 0.6467  4 N 1.77-1.82
Cr 0.6467 0.6162 0.3038  4 N 1.77-1.82
Cr 0.6467 0.8838 0.8038  4 N 1.77-1.82
Cr 0.6962 0.1467 0.8838  4 N 1.77-1.82
Cr 0.6962 0.3533 0.3838  4 N 1.77-1.82
Cr 0.8038 0.6467 0.8838  4 N 1.77-1.82
Cr 0.8038 0.8533 0.3838  4 N 1.77-1.82
Cr 0.8533 0.1162 0.3038  4 N 1.77-1.82
Cr 0.8533 0.3838 0.8038  4 N 1.77-1.82
Cr 0.8838 0.6962 0.1467  4 N 1.77-1.82
Cr 0.8838 0.8038 0.6467  4 N 1.77-1.82
N 0.0153 0.0804 0.2743  2 Cr 1.77-1.82
N 0.0153 0.4196 0.7743  2 Cr 1.77-1.82
N 0.0804 0.2257 0.5153  2 Cr 1.77-1.82
N 0.0804 0.2743 0.0153  2 Cr 1.77-1.82
N 0.1296 0.1562 0.7710  2 Cr 1.78-1.79
N 0.1296 0.3438 0.2710  2 Cr 1.78-1.79
N 0.1562 0.7290 0.6296  2 Cr 1.78-1.79
N 0.1562 0.7710 0.1296  2 Cr 1.78-1.79
N 0.2257 0.5153 0.0804  2 Cr 1.77-1.82
N 0.2257 0.9847 0.5804  2 Cr 1.77-1.82
N 0.2290 0.6296 0.3438  2 Cr 1.78-1.79
N 0.2290 0.8704 0.8438  2 Cr 1.78-1.79
N 0.2710 0.1296 0.3438  2 Cr 1.78-1.79
N 0.2710 0.3704 0.8438  2 Cr 1.78-1.79
N 0.2743 0.0153 0.0804  2 Cr 1.77-1.82
N 0.2743 0.4847 0.5804  2 Cr 1.77-1.82
N 0.3438 0.2290 0.6296  2 Cr 1.78-1.79
N 0.3438 0.2710 0.1296  2 Cr 1.78-1.79
N 0.3704 0.6562 0.7710  2 Cr 1.78-1.79
N 0.3704 0.8438 0.2710  2 Cr 1.78-1.79
N 0.4196 0.7257 0.5153  2 Cr 1.77-1.82
N 0.4196 0.7743 0.0153  2 Cr 1.77-1.82
N 0.4847 0.5804 0.2743  2 Cr 1.77-1.82
N 0.4847 0.9196 0.7743  2 Cr 1.77-1.82
N 0.5153 0.0804 0.2257  2 Cr 1.77-1.82
N 0.5153 0.4196 0.7257  2 Cr 1.77-1.82
N 0.5804 0.2257 0.9847  2 Cr 1.77-1.82
N 0.5804 0.2743 0.4847  2 Cr 1.77-1.82
N 0.6296 0.1562 0.7290  2 Cr 1.78-1.79
N 0.6296 0.3438 0.2290  2 Cr 1.78-1.79
N 0.6562 0.7290 0.8704  2 Cr 1.78-1.79
N 0.6562 0.7710 0.3704  2 Cr 1.78-1.79
N 0.7257 0.5153 0.4196  2 Cr 1.77-1.82
N 0.7257 0.9847 0.9196  2 Cr 1.77-1.82
N 0.7290 0.6296 0.1562  2 Cr 1.78-1.79
N 0.7290 0.8704 0.6562  2 Cr 1.78-1.79
N 0.7710 0.1296 0.1562  2 Cr 1.78-1.79
N 0.7710 0.3704 0.6562  2 Cr 1.78-1.79
N 0.7743 0.0153 0.4196  2 Cr 1.77-1.82
N 0.7743 0.4847 0.9196  2 Cr 1.77-1.82
N 0.8438 0.2290 0.8704  2 Cr 1.78-1.79
N 0.8438 0.2710 0.3704  2 Cr 1.78-1.79
N 0.8704 0.6562 0.7290  2 Cr 1.78-1.79
N 0.8704 0.8438 0.2290  2 Cr 1.78-1.79
N 0.9196 0.7257 0.9847  2 Cr 1.77-1.82
N 0.9196 0.7743 0.4847  2 Cr 1.77-1.82
N 0.9847 0.5804 0.2257  2 Cr 1.77-1.82
N 0.9847 0.9196 0.7257  2 Cr 1.77-1.82

Output
**Space-group type**: Pa-3
**VASP energy**: -8.30 eV per atom
**Formation enthalpy at 0 K**: -740 meV/atom

Record 7
A geometry-optimized Sr3Cr2N4 structure, computed with PBE.

Lattice parameters (Å, degrees): 5.8653 9.9232 9.6337 90.00 90.00 90.00
Closest atoms and distances in Å follow each position.
Positions (direct):
Sr 0.1197 0.1571 0.0822  4 N 2.53-2.70
Sr 0.1197 0.3429 0.4178  4 N 2.53-2.70
Sr 0.2500 0.0000 0.4027  6 N 2.72-2.91
Sr 0.2500 0.5000 0.0973  6 N 2.72-2.91
Sr 0.3803 0.6571 0.4178  4 N 2.53-2.70
Sr 0.3803 0.8429 0.0822  4 N 2.53-2.70
Sr 0.6197 0.1571 0.9178  4 N 2.53-2.70
Sr 0.6197 0.3429 0.5822  4 N 2.53-2.70
Sr 0.7500 0.0000 0.5973  6 N 2.72-2.91
Sr 0.7500 0.5000 0.9027  6 N 2.72-2.91
Sr 0.8803 0.6571 0.5822  4 N 2.53-2.70
Sr 0.8803 0.8429 0.9178  4 N 2.53-2.70
Cr 0.1571 0.2500 0.7500  4 N 1.92-1.96
Cr 0.2500 0.0000 0.7360  4 N 1.86-1.87
Cr 0.2500 0.5000 0.7640  4 N 1.86-1.87
Cr 0.3429 0.7500 0.7500  4 N 1.92-1.96
Cr 0.6571 0.2500 0.2500  4 N 1.92-1.96
Cr 0.7500 0.0000 0.2640  4 N 1.86-1.87
Cr 0.7500 0.5000 0.2360  4 N 1.86-1.87
Cr 0.8429 0.7500 0.2500  4 N 1.92-1.96
N 0.0217 0.0887 0.8333  2 Cr 1.86-1.96
N 0.0217 0.4113 0.6667  2 Cr 1.86-1.96
N 0.1438 0.6469 0.8676  2 Cr 1.87-1.92
N 0.1438 0.8531 0.6324  2 Cr 1.87-1.92
N 0.3562 0.1469 0.6324  2 Cr 1.87-1.92
N 0.3562 0.3531 0.8676  2 Cr 1.87-1.92
N 0.4783 0.5887 0.6667  2 Cr 1.86-1.96
N 0.4783 0.9113 0.8333  2 Cr 1.86-1.96
N 0.5217 0.0887 0.1667  2 Cr 1.86-1.96
N 0.5217 0.4113 0.3333  2 Cr 1.86-1.96
N 0.6438 0.6469 0.1325  2 Cr 1.87-1.92
N 0.6438 0.8531 0.3676  2 Cr 1.87-1.92
N 0.8562 0.1469 0.3676  2 Cr 1.87-1.92
N 0.8562 0.3531 0.1325  2 Cr 1.87-1.92
N 0.9783 0.5887 0.3333  2 Cr 1.86-1.96
N 0.9783 0.9113 0.1667  2 Cr 1.86-1.96

Output
**Space-group type**: Pnna
**VASP energy**: -7.13 eV per atom
**Formation enthalpy at 0 K**: -873 meV/atom
**ΔE to the lowest computed polymorph**: 0.00 kcal/mol of atoms

Record 8
A geometry-optimized Sr8Cr3N8 structure, computed with PBE.

Lattice parameters (Å, degrees): 9.9181 9.9181 7.6105 105.98 105.98 31.27
Closest atoms and distances in Å follow each position.
Positions (direct):
Sr 0.0296 0.0296 0.2700  5 N 2.68-2.89
Sr 0.1985 0.1985 0.8014  5 N 2.70-2.79
Sr 0.3335 0.3335 0.5309  5 N 2.65-2.81
Sr 0.4026 0.4026 0.0476  3 N 2.54-2.71
Sr 0.5974 0.5974 0.9524  3 N 2.54-2.71
Sr 0.6665 0.6665 0.4691  5 N 2.65-2.81
Sr 0.8015 0.8015 0.1986  5 N 2.70-2.79
Sr 0.9704 0.9704 0.7300  5 N 2.68-2.89
Cr 0.1870 0.1870 0.2032  3 N 1.73-1.76
Cr 0.5000 0.5000 0.5000  2 N 1.79
Cr 0.8130 0.8130 0.7968  3 N 1.73-1.76
N 0.1078 0.1078 0.0157  1 Cr 1.76
N 0.1798 0.1798 0.4241  1 Cr 1.73
N 0.2729 0.2729 0.1676  1 Cr 1.74
N 0.4745 0.4745 0.7088  1 Cr 1.79
N 0.5255 0.5255 0.2912  1 Cr 1.79
N 0.7271 0.7271 0.8324  1 Cr 1.74
N 0.8202 0.8202 0.5759  1 Cr 1.73
N 0.8922 0.8922 0.9843  1 Cr 1.76

Output
**Space-group type**: C2/m
**VASP energy**: -6.50 eV per atom
**Formation enthalpy at 0 K**: -903 meV/atom